(1)
# LiMn3Al2H6O12

A geometry-optimized LiMn3Al2H6O12 structure (GGA+U, the Materials Project database).

Energy relative to the elements = -2.028 eV per atom
Electronic total energy = -304.1 eV for the cell shown

Lattice parameters (Å, degrees): 5.967 7.856 9.674 82.89 80.70 77.90
Fractional positions:
1 Li 0.157 0.345 0.000
2 Li 0.843 0.655 0.000
3 Mn 0.000 0.500 0.500
4 Mn 0.164 0.834 0.499
5 Mn 0.336 0.166 0.502
6 Mn 0.500 0.500 0.500
7 Mn 0.664 0.834 0.498
8 Mn 0.836 0.166 0.501
9 Al 0.000 0.000 0.000
10 Al 0.331 0.661 0.998
11 Al 0.500 0.000 0.000
12 Al 0.669 0.339 0.002
13 H 0.017 0.761 0.205
14 H 0.177 0.078 0.204
15 H 0.178 0.586 0.791
16 H 0.329 0.918 0.787
17 H 0.355 0.429 0.210
18 H 0.497 0.759 0.199
19 H 0.503 0.241 0.801
20 H 0.645 0.571 0.790
21 H 0.671 0.082 0.213
22 H 0.822 0.414 0.209
23 H 0.823 0.922 0.796
24 H 0.983 0.239 0.795
25 O 0.049 0.777 0.101
26 O 0.053 0.276 0.609
27 O 0.140 0.072 0.401
28 O 0.152 0.584 0.893
29 O 0.198 0.597 0.598
30 O 0.202 0.083 0.100
31 O 0.304 0.402 0.397
32 O 0.304 0.907 0.893
33 O 0.381 0.442 0.106
34 O 0.382 0.943 0.610
35 O 0.468 0.733 0.399
36 O 0.485 0.226 0.904
37 O 0.515 0.774 0.096
38 O 0.532 0.267 0.601
39 O 0.618 0.057 0.390
40 O 0.619 0.558 0.894
41 O 0.696 0.093 0.107
42 O 0.696 0.598 0.603
43 O 0.798 0.917 0.900
44 O 0.802 0.403 0.402
45 O 0.848 0.416 0.107
46 O 0.860 0.928 0.599
47 O 0.947 0.724 0.391
48 O 0.951 0.223 0.899

=====

(2)
# Li2FeF4

A geometry-optimized Li2FeF4 structure (GGA+U, the Materials Project database).

Energy relative to the elements = -2.890 eV per atom
Electronic total energy = -72.1 eV for the cell shown

Lattice parameters (Å, degrees): 5.633 5.373 5.867 90.00 118.45 90.00
Fractional positions:
1 Li 0.128 0.000 0.181
2 Li 0.347 0.950 0.822
3 Li 0.653 0.450 0.178
4 Li 0.872 0.500 0.819
5 Fe 0.255 0.469 0.503
6 Fe 0.745 0.969 0.497
7 F 0.011 0.797 0.379
8 F 0.015 0.832 0.855
9 F 0.459 0.121 0.597
10 F 0.493 0.119 0.147
11 F 0.507 0.619 0.853
12 F 0.541 0.621 0.403
13 F 0.985 0.332 0.145
14 F 0.989 0.297 0.621

=====

(3)
# CaEuDyVO6

A geometry-optimized CaEuDyVO6 structure (GGA+U, the Materials Project database).

Energy relative to the elements = -3.094 eV per atom
Electronic total energy = -80.8 eV for the cell shown

Lattice parameters (Å, degrees): 5.783 5.783 5.783 60.00 60.00 60.00
Fractional positions:
1 Ca 0.000 0.000 0.000
2 Eu 0.500 0.500 0.500
3 Dy 0.750 0.750 0.750
4 V 0.250 0.250 0.250
5 O 0.017 0.017 0.483
6 O 0.017 0.483 0.017
7 O 0.017 0.483 0.483
8 O 0.483 0.017 0.017
9 O 0.483 0.017 0.483
10 O 0.483 0.483 0.017

=====

(4)
# Sr4MgMn3Cl2O8

A geometry-optimized Sr4MgMn3Cl2O8 structure (GGA+U, the Materials Project database).

Energy relative to the elements = -2.354 eV per atom
Electronic total energy = -111.0 eV for the cell shown

Lattice parameters (Å, degrees): 19.720 19.720 19.720 168.29 168.29 16.59
Fractional positions:
1 Sr 0.045 0.045 0.000
2 Sr 0.146 0.146 0.000
3 Sr 0.854 0.854 0.000
4 Sr 0.955 0.955 0.000
5 Mg 0.750 0.250 0.500
6 Mn 0.399 0.399 0.000
7 Mn 0.500 0.500 0.000
8 Mn 0.601 0.601 0.000
9 Cl 0.289 0.289 0.000
10 Cl 0.711 0.711 0.000
11 O 0.000 0.500 0.500
12 O 0.114 0.614 0.500
13 O 0.386 0.886 0.500
14 O 0.450 0.450 0.000
15 O 0.500 0.000 0.500
16 O 0.550 0.550 0.000
17 O 0.614 0.114 0.500
18 O 0.886 0.386 0.500

=====

| no. | total magnetic moment (Bohr magnetons per cell) |
| --- | --- |
| 1 | 20.02 |
| 2 | 8.00 |
| 3 | 7.01 |
| 4 | 12.39 |